## Li7Mn5O12 (GGA+U)

Data for an optimized crystal structure of Li7Mn5O12.

Cell lengths 6.460, 7.791, 9.304 Å; angles 71.90, 82.71, 89.76 degrees
Fractional coordinates of all 48 atoms:
Li1 0.000 0.000 0.000
Li2 0.077 0.331 0.095
Li3 0.094 0.840 0.581
Li4 0.249 0.500 0.750
Li5 0.250 0.000 0.250
Li6 0.406 0.160 0.919
Li7 0.422 0.669 0.404
Li8 0.500 0.000 0.500
Li9 0.578 0.331 0.596
Li10 0.594 0.840 0.081
Li11 0.750 0.000 0.750
Li12 0.751 0.500 0.250
Li13 0.906 0.160 0.419
Li14 0.923 0.669 0.905
Mn1 0.000 0.500 0.500
Mn2 0.166 0.165 0.667
Mn3 0.166 0.670 0.164
Mn4 0.334 0.834 0.833
Mn5 0.335 0.330 0.335
Mn6 0.500 0.500 0.000
Mn7 0.665 0.670 0.665
Mn8 0.666 0.166 0.167
Mn9 0.834 0.330 0.836
Mn10 0.834 0.835 0.333
O1 0.060 0.424 0.286
O2 0.063 0.922 0.781
O3 0.110 0.749 0.382
O4 0.115 0.242 0.850
O5 0.211 0.104 0.476
O6 0.225 0.589 0.950
O7 0.274 0.410 0.550
O8 0.290 0.896 0.024
O9 0.384 0.757 0.651
O10 0.390 0.251 0.118
O11 0.437 0.077 0.719
O12 0.440 0.576 0.214
O13 0.560 0.424 0.786
O14 0.563 0.923 0.281
O15 0.610 0.749 0.882
O16 0.616 0.243 0.349
O17 0.710 0.104 0.976
O18 0.726 0.590 0.450
O19 0.775 0.411 0.050
O20 0.789 0.896 0.524
O21 0.885 0.758 0.150
O22 0.890 0.251 0.618
O23 0.937 0.078 0.219
O24 0.940 0.576 0.714

The distance to the lowest polymorph of the same formula comes out at 0.291 kcal/mol of atoms. Its mass density is 3.9 g/cm³. The value obtained for the total magnetic moment is 14.01 μB/f.u. Its energy of formation from the pure elements is -2144 meV per atom. Its crystal system is triclinic.